Tm3PbC: optimized geometry, r2SCAN.

Its calculated formation energy is -738 meV/atom. For the magnetic moment, the calculation gives 0.00 Bohr magnetons per cell. As for the total energy: -1.2883 Ha/atom.

It has space group Pm-3m (No. 221), with a = 4.8048 Å, b = 4.8048 Å, c = 4.8048 Å, α = 90.00°, β = 90.00° and γ = 90.00°. The distinct sites, in fractional coordinates, are Tm at (0.0000, 0.0000, 0.5000), Pb at (0.5000, 0.5000, 0.5000) and C at (0.0000, 0.0000, 0.0000).